Record 1
8
Lattice="3.4539 0.0000 0.0000 0.0000 4.6781 0.0000 0.0000 0.0000 8.5470" Properties=species:S:1:pos:R:3 comment="Nb3Si | Materials Project | PBE-GGA | optimized geometry" m_tot_mub_per_fu=0.00 crystal_system=orthorhombic energy_ev_per_atom=-9.13 formation_energy_ev_per_fu=-0.73 space_group="Cmmm, No. 65" de_polymorph_mev_per_atom=239 pbc="T T T"
Nb 0.0000 0.0000 0.0000
Nb 0.0000 2.3391 2.3304
Nb 0.0000 2.3391 6.2165
Nb 1.7270 0.0000 2.3304
Nb 1.7270 0.0000 6.2165
Nb 1.7270 2.3391 0.0000
Si 0.0000 0.0000 4.2735
Si 1.7270 2.3391 4.2735

Record 2
10
Lattice="6.7611 0.0000 0.0000 0.0000 6.7611 0.0000 0.0000 0.0000 3.5112" Properties=species:S:1:pos:R:3 comment="Nb3Si2 | Materials Project | PBE-GGA | optimized geometry" crystal_system=tetragonal energy_ev_per_atom=-8.88 formation_energy_ev_per_fu=-3.09 space_group="P4/mbm, No. 127" pbc="T T T"
Nb 0.0000 0.0000 0.0000
Nb 1.1639 2.2167 1.7556
Nb 2.2167 5.5972 1.7556
Nb 3.3806 3.3806 0.0000
Nb 4.5444 1.1639 1.7556
Nb 5.5972 4.5444 1.7556
Si 0.8625 4.2431 0.0000
Si 2.5180 0.8625 0.0000
Si 4.2431 5.8986 0.0000
Si 5.8986 2.5180 0.0000

Record 3
8
Lattice="5.2370 0.0000 0.0000 0.0000 5.2370 0.0000 0.0000 0.0000 5.2370" Properties=species:S:1:pos:R:3 comment="Nb6SiSn | Materials Project | PBE-GGA | optimized geometry" m_tot_mub_per_fu=0.31 crystal_system=cubic energy_ev_per_atom=-8.98 formation_energy_ev_per_fu=-1.83 space_group="Pm-3, No. 200" pbc="T T T"
Nb 0.0000 1.3550 2.6185
Nb 0.0000 3.8819 2.6185
Nb 1.3550 2.6185 0.0000
Nb 2.6185 0.0000 1.3550
Nb 2.6185 0.0000 3.8819
Nb 3.8819 2.6185 0.0000
Si 2.6185 2.6185 2.6185
Sn 0.0000 0.0000 0.0000

Record 4
16
Lattice="7.1119 -2.5510 0.0000 7.1119 2.5510 0.0000 -7.1046 0.0000 7.1223" Properties=species:S:1:pos:R:3 comment="Ta5Nb5Si6 | Materials Project | PBE-GGA | optimized geometry" m_tot_mub_per_fu=0.00 crystal_system=monoclinic energy_ev_per_atom=-9.50 formation_energy_ev_per_fu=-9.23 space_group="Cm, No. 8" pbc="T T T"
Ta 0.0000 0.0000 0.0000
Ta -2.0517 0.0000 4.2091
Ta 2.5352 1.2760 5.6640
Ta 3.9857 0.0000 3.1349
Ta 2.5352 -1.2760 5.6640
Nb 1.0748 0.0000 3.1288
Nb -2.0425 0.0000 7.1214
Nb 8.1850 0.0000 1.0780
Nb 7.1047 0.0000 4.2123
Nb 11.0986 0.0000 1.0826
Si 2.5285 0.0000 0.8899
Si 6.0851 1.2763 2.1062
Si 0.1892 0.0000 5.6657
Si 4.8766 0.0000 5.6646
Si 6.0851 -1.2763 2.1062
Si 9.6449 0.0000 3.3242

Record 5
14
Lattice="6.3939 0.0000 0.0000 0.9793 7.8122 0.0000 0.0029 2.0419 7.7911" Properties=species:S:1:pos:R:3 comment="Nb2SiTe4 | Materials Project | PBE-GGA | optimized geometry" m_tot_mub_per_fu=0.00 crystal_system=triclinic energy_ev_per_atom=-5.95 formation_energy_ev_per_fu=-5.15 space_group="P-1, No. 2" de_polymorph_mev_per_atom=2 pbc="T T T"
Nb 1.6414 8.1461 1.2778
Nb 2.5382 1.3567 5.1714
Nb 4.8379 8.4974 2.6197
Nb 5.7346 1.7080 6.5133
Si 0.0014 1.0210 3.8955
Si 3.1969 0.0000 0.0000
Te 1.4192 3.6392 6.4795
Te 1.7819 2.6173 2.5839
Te 2.3952 7.8223 7.4317
Te 2.7608 6.7990 3.5385
Te 4.6153 3.0551 4.2526
Te 4.9809 2.0318 0.3594
Te 5.5942 7.2368 5.2072
Te 5.9568 6.2149 1.3116

Record 6
14
Lattice="6.7412 0.0000 0.0000 -0.3807 9.1635 0.0000 -1.6346 -2.1942 10.5571" Properties=species:S:1:pos:R:3 comment="Nb2SiTe4 | Materials Project | PBE-GGA | optimized geometry" m_tot_mub_per_fu=0.00 crystal_system=triclinic energy_ev_per_atom=-5.45 formation_energy_ev_per_fu=-1.61 space_group="P-1, No. 2" de_polymorph_mev_per_atom=507 pbc="T T T"
Nb 0.7981 3.6836 0.4526
Nb 0.8431 7.0384 0.5472
Nb 3.8828 -0.0691 10.0099
Nb 3.9278 3.2857 10.1045
Si 0.0000 0.0000 0.0000
Si 3.1802 4.5818 0.0000
Te -1.4604 4.9106 8.2979
Te -0.4653 5.2798 2.3770
Te -0.0941 8.3994 2.7445
Te 1.1978 -0.3690 10.3059
Te 3.5281 7.3383 0.2512
Te 4.8199 -1.4301 7.8126
Te 5.1911 1.6895 8.1801
Te 6.1862 2.0586 2.2592

Record 7
28
Lattice="6.4038 0.0000 0.0000 0.0000 7.9687 0.0000 -4.3913 0.0000 15.3371" Properties=species:S:1:pos:R:3 comment="Nb2SiTe4 | Materials Project | PBE-GGA | optimized geometry" crystal_system=monoclinic energy_ev_per_atom=-5.95 formation_energy_ev_per_fu=-5.16 space_group="P2_1/c, No. 14" de_polymorph_mev_per_atom=0 pbc="T T T"
Nb -0.1629 0.2979 3.8334
Nb -2.3585 3.6865 11.5020
Nb 1.1701 5.6735 3.8346
Nb -1.0255 6.2795 11.5032
Nb 3.0380 1.6892 3.8339
Nb 0.8424 2.2952 11.5025
Nb 4.3710 4.2822 3.8352
Nb 2.1754 7.6709 11.5037
Si -1.6923 0.9990 11.5040
Si 0.5033 2.9854 3.8354
Si 1.5092 4.9834 11.5017
Si 3.7048 6.9697 3.8331
Te -3.4757 1.8648 13.3951
Te -1.2800 2.1196 5.7265
Te -3.1127 5.8451 13.3947
Te -0.9171 6.1079 5.7262
Te -0.2723 4.1196 9.6099
Te 1.9233 7.8335 1.9414
Te 0.0887 0.1347 9.6105
Te 2.2843 3.8497 1.9420
Te -0.2718 4.1190 13.3952
Te 1.9238 7.8340 5.7266
Te 0.0892 0.1352 13.3957
Te 2.2848 3.8492 5.7272
Te 2.9296 1.8608 9.6109
Te 5.1252 2.1236 1.9424
Te 3.2925 5.8491 9.6106
Te 5.4881 6.1039 1.9420

Record 8
7
Lattice="4.6544 0.0000 0.0000 -0.5108 6.2669 0.0000 -2.2570 -0.9851 7.2226" Properties=species:S:1:pos:R:3 comment="Nb2SiTe4 | Materials Project | PBE-GGA | optimized geometry" m_tot_mub_per_fu=0.00 crystal_system=triclinic energy_ev_per_atom=-5.67 formation_energy_ev_per_fu=-3.16 space_group="P-1, No. 2" de_polymorph_mev_per_atom=287 pbc="T T T"
Nb 0.9637 2.2598 0.0013
Nb 0.9229 3.0219 7.2213
Si 2.3272 0.0000 0.0000
Te -1.3973 3.4556 5.4181
Te 0.8548 4.4461 1.8065
Te 1.0318 0.8356 5.4161
Te 3.2839 1.8261 1.8045